Here is an optimized crystal structure of YGeRh2 from the Materials Project database. Energies are from meta-GGA r2SCAN.

Cell and atoms, written as extended XYZ:
```
24
Lattice="-0.564 3.496 4.266 -3.039 0.706 -4.583 -11.081 -9.050 5.952" Properties=species:S:1:pos:R:3 pbc="T T T"
Y -8.177 -3.234 1.570
Y -6.506 -1.613 4.065
Y -1.811 2.221 1.543
Y -12.872 -7.068 4.092
Y -10.525 -5.152 2.831
Y -4.159 0.304 2.804
Ge -2.770 -2.262 1.488
Ge -8.310 -6.787 4.464
Ge -4.984 -0.626 -0.146
Ge -9.699 -4.221 5.780
Ge 0.000 0.000 0.000
Ge -9.143 -0.323 2.659
Rh -2.535 -0.337 -0.059
Rh -12.149 -4.511 5.694
Rh -4.324 1.751 -0.217
Rh -9.450 -2.307 4.244
Rh -10.359 -6.598 5.851
Rh -5.233 -2.541 1.391
Rh -4.044 0.014 -2.336
Rh -7.660 -4.394 4.402
Rh -10.639 -4.861 7.971
Rh -7.023 -0.453 1.233
Rh -7.940 -2.657 6.521
Rh -6.743 -2.190 -0.886
```

Values from the calculation:
- Crystal system: hexagonal
- Mass density: 8.87 g/cm³
- Energy relative to the elements: -0.927 eV/atom
- Magnetic moment: 0.0000 μB/atom